Record 1
# YBiO3

YBiO3 after structural relaxation (PBE-GGA, the Materials Project).

Cell and atoms, written as POSCAR:
```
YBiO3
1.0
3.307 -5.728 0.000
3.307 5.728 0.000
0.000 0.000 13.082
Y Bi O
6 6 18
Direct
0.667 0.333 0.236 Y
0.333 0.667 0.736 Y
0.667 0.333 0.736 Y
0.333 0.667 0.236 Y
0.000 0.000 0.764 Y
0.000 0.000 0.264 Y
0.667 0.000 0.500 Bi
0.667 0.667 0.000 Bi
0.000 0.333 0.000 Bi
0.000 0.667 0.500 Bi
0.333 0.333 0.500 Bi
0.333 0.000 0.000 Bi
0.667 0.333 0.042 O
0.333 0.667 0.542 O
0.667 0.333 0.542 O
0.333 0.667 0.042 O
0.000 0.000 0.952 O
0.000 0.000 0.452 O
0.375 0.000 0.823 O
0.375 0.375 0.323 O
0.000 0.625 0.323 O
0.000 0.375 0.823 O
0.625 0.625 0.823 O
0.625 0.000 0.323 O
0.300 0.000 0.178 O
0.300 0.300 0.678 O
0.000 0.700 0.678 O
0.000 0.300 0.178 O
0.700 0.700 0.178 O
0.700 0.000 0.678 O
```


Record 2
# La2Bi4O9

La2Bi4O9 after structural relaxation (PBE-GGA, the Materials Project).

Cell and atoms, written as POSCAR:
```
La2Bi4O9
1.0
-3.939 -0.391 0.813
-0.285 -5.589 -4.220
3.845 -4.390 7.412
La Bi O
2 4 9
Direct
0.495 0.494 0.018 La
0.978 0.998 0.991 La
0.837 0.600 0.676 Bi
0.627 0.895 0.327 Bi
0.351 0.122 0.657 Bi
0.174 0.362 0.345 Bi
0.584 0.555 0.297 O
0.528 0.854 0.093 O
0.952 0.636 0.907 O
0.796 0.926 0.703 O
0.656 0.225 0.486 O
0.111 0.028 0.281 O
0.439 0.160 0.895 O
0.036 0.333 0.107 O
0.366 0.455 0.710 O
```


Record 3
# TaC6N9

TaC6N9 after structural relaxation (PBE-GGA, the Materials Project).

Cell and atoms, written as POSCAR:
```
TaC6N9
1.0
6.945 0.381 0.000
9.770 6.737 0.000
0.000 0.000 11.907
Ta C N
2 12 18
Direct
0.000 0.272 0.250 Ta
0.000 0.728 0.750 Ta
0.683 0.759 0.250 C
0.683 0.558 0.750 C
0.317 0.241 0.750 C
0.317 0.442 0.250 C
0.685 0.306 0.902 C
0.685 0.009 0.098 C
0.685 0.306 0.598 C
0.685 0.009 0.402 C
0.315 0.694 0.098 C
0.315 0.991 0.902 C
0.315 0.694 0.402 C
0.315 0.991 0.598 C
0.000 0.551 0.250 N
0.000 0.449 0.750 N
0.381 0.948 0.250 N
0.381 0.671 0.750 N
0.619 0.052 0.750 N
0.619 0.329 0.250 N
0.000 0.121 0.943 N
0.000 0.879 0.057 N
0.000 0.121 0.557 N
0.000 0.879 0.443 N
0.385 0.479 0.869 N
0.385 0.136 0.131 N
0.385 0.479 0.631 N
0.385 0.136 0.369 N
0.615 0.521 0.131 N
0.615 0.864 0.869 N
0.615 0.521 0.369 N
0.615 0.864 0.631 N
```


Record 4
# Zn2GeO4

Zn2GeO4 after structural relaxation (PBE-GGA, the Materials Project).

Cell and atoms, written as POSCAR:
```
Zn2GeO4
1.0
5.275 -7.236 0.000
5.275 7.236 0.000
-4.651 0.000 7.653
Zn Ge O
12 6 24
Direct
0.276 0.103 0.874 Zn
0.874 0.276 0.103 Zn
0.103 0.874 0.276 Zn
0.724 0.897 0.126 Zn
0.126 0.724 0.897 Zn
0.897 0.126 0.724 Zn
0.608 0.441 0.203 Zn
0.203 0.608 0.441 Zn
0.441 0.203 0.608 Zn
0.392 0.559 0.797 Zn
0.797 0.392 0.559 Zn
0.559 0.797 0.392 Zn
0.945 0.768 0.537 Ge
0.537 0.945 0.768 Ge
0.768 0.537 0.945 Ge
0.055 0.232 0.463 Ge
0.463 0.055 0.232 Ge
0.232 0.463 0.055 Ge
0.073 0.751 0.422 O
0.422 0.073 0.751 O
0.751 0.422 0.073 O
0.927 0.249 0.578 O
0.578 0.927 0.249 O
0.249 0.578 0.927 O
0.363 0.350 0.035 O
0.035 0.363 0.350 O
0.350 0.035 0.363 O
0.637 0.650 0.965 O
0.965 0.637 0.650 O
0.650 0.965 0.637 O
0.721 0.684 0.389 O
0.389 0.721 0.684 O
0.684 0.389 0.721 O
0.279 0.316 0.611 O
0.611 0.279 0.316 O
0.316 0.611 0.279 O
0.014 0.304 0.971 O
0.304 0.971 0.014 O
0.971 0.014 0.304 O
0.986 0.696 0.029 O
0.696 0.029 0.986 O
0.029 0.986 0.696 O
```


Record 5
# SrMg6Ga

SrMg6Ga after structural relaxation (PBE-GGA, the Materials Project).

Results
Energy above the most stable polymorph in this dataset ... 0.019 eV per atom

Cell and atoms, written as POSCAR:
```
SrMg6Ga
1.0
-3.937 -1.190 2.962
-3.858 -1.056 -5.553
3.279 -11.213 -0.145
Sr Mg Ga
2 12 2
Direct
0.000 0.500 0.327 Sr
0.000 0.000 0.827 Sr
0.000 0.262 0.080 Mg
0.000 0.738 0.080 Mg
0.000 0.500 0.837 Mg
0.500 0.274 0.927 Mg
0.500 0.726 0.927 Mg
0.500 0.500 0.667 Mg
0.000 0.762 0.580 Mg
0.000 0.238 0.580 Mg
0.000 0.000 0.337 Mg
0.500 0.774 0.427 Mg
0.500 0.226 0.427 Mg
0.500 0.000 0.167 Mg
0.500 0.500 0.156 Ga
0.500 0.000 0.656 Ga
```


Record 6
# TlCo2Se2

TlCo2Se2 after structural relaxation (PBE-GGA, the Materials Project).

Cell and atoms, written as POSCAR:
```
TlCo2Se2
1.0
6.849 2.499 0.833
3.143 6.462 1.488
-5.118 -5.037 1.512
Tl Co Se
1 2 2
Direct
0.000 0.000 0.000 Tl
0.750 0.250 0.500 Co
0.250 0.750 0.500 Co
0.653 0.653 0.000 Se
0.347 0.347 0.000 Se
```


Record 7
# CaTe2O5

CaTe2O5 after structural relaxation (PBE-GGA, the Materials Project).

Cell and atoms, written as POSCAR:
```
CaTe2O5
1.0
5.852 0.000 0.000
0.000 9.624 0.000
0.000 4.617 10.214
Ca Te O
4 8 20
Direct
0.196 0.025 0.359 Ca
0.696 0.975 0.141 Ca
0.804 0.975 0.641 Ca
0.304 0.025 0.859 Ca
0.822 0.258 0.781 Te
0.322 0.742 0.719 Te
0.178 0.742 0.219 Te
0.678 0.258 0.281 Te
0.362 0.348 0.512 Te
0.862 0.652 0.988 Te
0.638 0.652 0.488 Te
0.138 0.348 0.012 Te
0.893 0.476 0.909 O
0.393 0.524 0.591 O
0.107 0.524 0.091 O
0.607 0.476 0.409 O
0.526 0.205 0.657 O
0.026 0.795 0.843 O
0.474 0.795 0.343 O
0.974 0.205 0.157 O
0.091 0.224 0.904 O
0.591 0.776 0.596 O
0.909 0.776 0.096 O
0.409 0.224 0.404 O
0.509 0.137 0.216 O
0.009 0.863 0.284 O
0.491 0.863 0.784 O
0.991 0.137 0.716 O
0.854 0.115 0.415 O
0.354 0.885 0.085 O
0.146 0.885 0.585 O
0.646 0.115 0.915 O
```


Record 8
# LiMg14CO16

LiMg14CO16 after structural relaxation (PBE-GGA, the Materials Project).

Results
Energy above the most stable polymorph in this dataset ... 0.016 eV per atom

Cell and atoms, written as POSCAR:
```
LiMg14CO16
1.0
8.466 0.000 0.000
0.000 8.466 0.000
0.000 0.000 4.222
Li Mg C O
1 14 1 16
Direct
0.000 0.000 0.000 Li
0.000 0.500 0.000 Mg
0.500 0.000 0.000 Mg
0.000 0.243 0.500 Mg
0.000 0.757 0.500 Mg
0.500 0.253 0.500 Mg
0.500 0.747 0.500 Mg
0.243 0.000 0.500 Mg
0.253 0.500 0.500 Mg
0.757 0.000 0.500 Mg
0.747 0.500 0.500 Mg
0.246 0.246 0.000 Mg
0.246 0.754 0.000 Mg
0.754 0.246 0.000 Mg
0.754 0.754 0.000 Mg
0.500 0.500 0.000 C
0.262 0.000 0.000 O
0.272 0.500 0.000 O
0.738 0.000 0.000 O
0.728 0.500 0.000 O
0.252 0.252 0.500 O
0.252 0.748 0.500 O
0.748 0.252 0.500 O
0.748 0.748 0.500 O
0.000 0.000 0.500 O
0.000 0.500 0.500 O
0.500 0.000 0.500 O
0.500 0.500 0.500 O
0.000 0.262 0.000 O
0.000 0.738 0.000 O
0.500 0.272 0.000 O
0.500 0.728 0.000 O
```


Number 1: energy of formation from the pure elements -2.686 eV per atom. Number 2: energy of formation from the pure elements -2.379 eV per atom. Number 3: energy of formation from the pure elements 0.075 eV per atom. Number 4: energy of formation from the pure elements -1.969 eV per atom. Number 5: energy of formation from the pure elements 0.008 eV per atom. Number 6: energy of formation from the pure elements -0.413 eV per atom. Number 7: energy of formation from the pure elements -2.098 eV per atom. Number 8: energy of formation from the pure elements -2.650 eV per atom.